Record 1
Entry from the Materials Project: a relaxed Na4MgTiSiP2O12 crystal (GGA-PBE).

Computed properties:
Symmetry = Cc
ρ = 2.90 Mg/m³
Calculated formation energy = -2857 meV per atom

Unit cell a=8.9718 b=8.9800 c=21.9279 alpha=90.00 beta=90.00 gamma=119.97
Element x y z (fractional)
Na 0.3052 0.9588 0.0767
O 0.6948 0.5262 0.5252
O 0.8587 0.4934 0.4198
Si 0.2954 0.9991 0.2535
O 0.5240 0.6963 0.2537
Na 0.0380 0.3455 0.0832
O 0.0236 0.1978 0.1932
O 0.1377 0.4867 0.5780
Na 0.6598 0.6942 0.0799
O 0.1648 0.9708 0.1923
O 0.0134 0.1957 0.9127
Ti 0.6685 0.3354 0.9812
Ti 0.3391 0.6793 0.3147
O 0.3391 0.8583 0.5779
Na 0.3693 0.3572 0.2501
Na 0.9879 0.3572 0.7501
P 0.0032 0.7091 0.7519
P 0.2883 0.2930 0.7510
O 0.5021 0.6538 0.5806
O 0.8431 0.0369 0.0860
O 0.8744 0.3500 0.6424
O 0.7965 0.8239 0.1937
O 0.3092 0.8516 0.9785
Na 0.3267 0.0313 0.4107
Na 0.7046 0.0313 0.9107
O 0.5074 0.3675 0.4207
O 0.8479 0.3189 0.2456
Mg 0.0002 0.0013 0.8516
Na 0.6655 0.3288 0.8299
Ti 0.9873 0.9928 0.6478
O 0.1742 0.4722 0.2529
Mg 0.3303 0.6690 0.0183
O 0.9819 0.1883 0.3083
O 0.4642 0.3042 0.0272
O 0.6445 0.1213 0.1418
P 0.7059 0.7091 0.2519
Na 0.3276 0.6641 0.1634
O 0.6380 0.1548 0.4213
P 0.6716 0.0424 0.0846
Na 0.3365 0.6641 0.6634
O 0.3490 0.4867 0.0780
O 0.6782 0.5265 0.2462
O 0.8155 0.0234 0.8128
O 0.9835 0.7929 0.8089
O 0.6896 0.1586 0.0270
Si 0.6306 0.9661 0.4199
P 0.0046 0.2930 0.2510
O 0.3621 0.8610 0.8586
O 0.4767 0.1213 0.6418
O 0.5193 0.8583 0.0779
O 0.0124 0.8183 0.4129
Na 0.3074 0.3455 0.5832
O 0.1909 0.1620 0.0870
Na 0.6634 0.3288 0.3299
P 0.9567 0.3298 0.5850
Ti 0.3403 0.6793 0.8147
Na 0.9711 0.2949 0.4126
O 0.3137 0.4593 0.4757
O 0.1723 0.6963 0.7537
Si 0.9601 0.6264 0.0866
Mg 0.3388 0.6690 0.5183
O 0.6347 0.4934 0.9198
Na 0.6347 0.6256 0.7436
O 0.1328 0.4920 0.8604
Si 0.6664 0.6264 0.5866
O 0.2979 0.4722 0.7529
P 0.3707 0.0424 0.5846
O 0.5386 0.6812 0.9758
Na 0.3238 0.2949 0.9126
Mg 0.6653 0.3306 0.1849
O 0.3592 0.4920 0.3604
P 0.0397 0.6630 0.4186
O 0.1426 0.6812 0.4758
O 0.6737 0.1608 0.7454
O 0.1712 0.9925 0.9118
Na 0.6536 0.9588 0.5767
O 0.8059 0.9708 0.6923
O 0.6472 0.5163 0.6459
Mg 0.0011 0.0013 0.3516
O 0.5078 0.6400 0.8606
O 0.8692 0.5163 0.1459
Na 0.7026 0.6820 0.4160
Na 0.3700 0.0114 0.7460
O 0.1741 0.1978 0.6932
O 0.8500 0.8199 0.5883
O 0.0274 0.8239 0.6937
Mg 0.6653 0.3306 0.6849
O 0.4690 0.1586 0.5270
Na 0.6414 0.0114 0.2460
O 0.4988 0.8610 0.3586
O 0.1456 0.4593 0.9757
O 0.1516 0.6538 0.0806
Si 0.7036 0.9991 0.7535
O 0.1938 0.0369 0.5860
O 0.9699 0.8199 0.0883
Ti 0.6669 0.3354 0.4812
Na 0.0344 0.6942 0.5799
O 0.3020 0.8154 0.2549
O 0.8401 0.3042 0.5272
O 0.4710 0.3189 0.7456
O 0.5168 0.1548 0.9213
O 0.5134 0.8154 0.7549
O 0.8483 0.5265 0.7462
P 0.6232 0.6630 0.9186
Na 0.9909 0.6256 0.2436
O 0.8314 0.5262 0.0252
P 0.3369 0.3785 0.4183
P 0.0416 0.3785 0.9183
P 0.3730 0.3298 0.0850
Na 0.9794 0.6820 0.9160
Si 0.3355 0.9661 0.9199
O 0.4756 0.3500 0.1424
O 0.8095 0.7929 0.3089
Na 0.9979 0.0019 0.4962
O 0.2079 0.0234 0.3128
O 0.9711 0.1620 0.5870
O 0.2064 0.1883 0.8083
O 0.5424 0.8516 0.4785
O 0.8213 0.9925 0.4118
O 0.1322 0.6400 0.3606
Ti 0.0055 0.9928 0.1478
O 0.4870 0.1608 0.2454
O 0.8601 0.3675 0.9207
Na 0.0039 0.0019 0.9962
O 0.8059 0.8183 0.9129
O 0.1822 0.1957 0.4127



Record 2
Entry from the Materials Project: a relaxed MgGe5 crystal (GGA-PBE).

Computed properties:
Symmetry = Cm
ρ = 5.42 Mg/m³
Calculated formation energy = 207 meV per atom
Offset from the most stable computed form = 0.06 eV/f.u.

Unit cell a=5.7692 b=5.7692 c=6.8276 alpha=71.73 beta=71.73 gamma=33.57
Element x y z (fractional)
Ge 0.7185 0.7185 0.0648
Ge 0.9984 0.9984 0.0054
Ge 0.6699 0.6699 0.6689
Ge 0.0613 0.0613 0.3787
Mg 0.3892 0.3892 0.7242
Ge 0.3294 0.3294 0.3247



Record 3
Entry from the Materials Project: a relaxed Fe2NiB crystal (GGA-PBE).

Computed properties:
Symmetry = I-4
ρ = 7.91 Mg/m³
Calculated formation energy = -199 meV per atom

Unit cell a=6.3743 b=6.3743 c=6.3743 alpha=96.23 beta=96.23 gamma=141.53
Element x y z (fractional)
Ni 0.5218 0.5593 0.6059
Fe 0.1397 0.1629 0.8096
Fe 0.3708 0.9844 0.3359
Ni 0.0841 0.4782 0.0374
Fe 0.6485 0.0350 0.6641
Fe 0.0156 0.3515 0.3865
Fe 0.8371 0.6466 0.9768
Fe 0.3534 0.3302 0.1904
Ni 0.4407 0.0467 0.9626
B 0.4520 0.1957 0.6703
Fe 0.9650 0.6292 0.6135
B 0.2183 0.5480 0.7437
B 0.8043 0.4746 0.2563
Ni 0.9533 0.9159 0.3941
B 0.5254 0.7817 0.3297
Fe 0.6698 0.8603 0.0232



Record 4
Entry from the Materials Project: a relaxed SmMgTiO3 crystal (GGA-PBE).

Computed properties:
Symmetry = R3m
ρ = 5.57 Mg/m³
Calculated formation energy = -2478 meV per atom

Unit cell a=4.3766 b=4.3766 c=4.3766 alpha=80.49 beta=80.49 gamma=80.49
Element x y z (fractional)
O 0.4686 0.9694 0.9694
Mg 0.2658 0.2658 0.2658
Ti 0.9595 0.9595 0.9595
O 0.9694 0.9694 0.4686
O 0.9694 0.4686 0.9694
Sm 0.6172 0.6172 0.6172



Record 5
Entry from the Materials Project: a relaxed Ga crystal (GGA-PBE).

Computed properties:
Symmetry = I-43d
ρ = 6.16 Mg/m³
Calculated formation energy = 11 meV per atom
Offset from the most stable computed form = 0.01 eV/f.u.

Unit cell a=5.2729 b=5.2729 c=5.2729 alpha=109.47 beta=109.47 gamma=109.47
Element x y z (fractional)
Ga 0.7500 0.8750 0.1250
Ga 0.3750 0.2500 0.6250
Ga 0.8750 0.1250 0.7500
Ga 0.2500 0.6250 0.3750
Ga 0.6250 0.3750 0.2500
Ga 0.1250 0.7500 0.8750



Record 6
Entry from the Materials Project: a relaxed ThSiS crystal (GGA-PBE).

Computed properties:
Symmetry = I4/mmm
ρ = 7.40 Mg/m³
Calculated formation energy = -1516 meV per atom

Unit cell a=9.0307 b=9.0307 c=9.0307 alpha=155.03 beta=155.03 gamma=35.60
Element x y z (fractional)
Si 0.0000 0.5000 0.5000
Si 0.5000 0.0000 0.5000
Th 0.1374 0.1374 0.0000
S 0.6872 0.6872 0.0000
Th 0.8626 0.8626 0.0000
S 0.3128 0.3128 0.0000



Asked for electronic total energy across the records above, the calculation gives -6.77; -3.91; -7.55; -6.98; -3.02; -7.01 eV/atom in order.